1.
{"formula": "Sr6Ca2Fe5Co3O20", "functional": "PBE+U", "state": "relaxed", "lattice": [[10.884, 0.000, 0.000], [0.032, 11.346, 0.000], [5.434, 5.647, 15.785]], "species": ["Sr", "Sr", "Sr", "Sr", "Sr", "Sr", "Sr", "Sr", "Sr", "Sr", "Sr", "Sr", "Sr", "Sr", "Sr", "Sr", "Sr", "Sr", "Sr", "Sr", "Sr", "Sr", "Sr", "Sr", "Ca", "Ca", "Ca", "Ca", "Ca", "Ca", "Ca", "Ca", "Fe", "Fe", "Fe", "Fe", "Fe", "Fe", "Fe", "Fe", "Fe", "Fe", "Fe", "Fe", "Fe", "Fe", "Fe", "Fe", "Fe", "Fe", "Fe", "Fe", "Co", "Co", "Co", "Co", "Co", "Co", "Co", "Co", "Co", "Co", "Co", "Co", "O", "O", "O", "O", "O", "O", "O", "O", "O", "O", "O", "O", "O", "O", "O", "O", "O", "O", "O", "O", "O", "O", "O", "O", "O", "O", "O", "O", "O", "O", "O", "O", "O", "O", "O", "O", "O", "O", "O", "O", "O", "O", "O", "O", "O", "O", "O", "O", "O", "O", "O", "O", "O", "O", "O", "O", "O", "O", "O", "O", "O", "O", "O", "O", "O", "O", "O", "O", "O", "O", "O", "O", "O", "O", "O", "O", "O", "O", "O", "O"], "frac_coords": [[0.000, 0.000, 0.000], [0.000, 0.497, 0.998], [0.001, 0.000, 0.495], [0.110, 0.625, 0.778], [0.111, 0.130, 0.776], [0.243, 0.266, 0.000], [0.246, 0.765, 0.001], [0.253, 0.769, 0.494], [0.353, 0.360, 0.778], [0.357, 0.858, 0.779], [0.362, 0.856, 0.279], [0.493, 0.997, 0.999], [0.495, 0.498, 0.000], [0.498, 0.002, 0.495], [0.499, 0.500, 0.494], [0.605, 0.127, 0.777], [0.605, 0.625, 0.779], [0.747, 0.768, 0.495], [0.748, 0.265, 0.001], [0.749, 0.270, 0.494], [0.749, 0.763, 0.001], [0.857, 0.360, 0.278], [0.860, 0.362, 0.776], [0.860, 0.858, 0.777], [0.003, 0.495, 0.491], [0.107, 0.626, 0.284], [0.111, 0.131, 0.282], [0.251, 0.276, 0.490], [0.355, 0.351, 0.284], [0.603, 0.133, 0.283], [0.607, 0.629, 0.284], [0.854, 0.848, 0.282], [0.052, 0.813, 0.383], [0.193, 0.970, 0.144], [0.195, 0.470, 0.634], [0.198, 0.976, 0.635], [0.199, 0.470, 0.141], [0.446, 0.155, 0.141], [0.446, 0.155, 0.635], [0.446, 0.648, 0.142], [0.447, 0.653, 0.638], [0.550, 0.811, 0.888], [0.694, 0.471, 0.141], [0.698, 0.971, 0.141], [0.698, 0.972, 0.637], [0.701, 0.472, 0.636], [0.801, 0.561, 0.889], [0.802, 0.063, 0.888], [0.946, 0.148, 0.144], [0.947, 0.654, 0.141], [0.949, 0.653, 0.633], [0.950, 0.159, 0.636], [0.051, 0.313, 0.888], [0.052, 0.315, 0.384], [0.052, 0.811, 0.888], [0.299, 0.064, 0.887], [0.300, 0.563, 0.889], [0.301, 0.562, 0.384], [0.302, 0.067, 0.384], [0.549, 0.316, 0.384], [0.550, 0.316, 0.888], [0.553, 0.816, 0.383], [0.801, 0.565, 0.385], [0.803, 0.067, 0.379], [0.109, 0.846, 0.249], [0.111, 0.347, 0.244], [0.113, 0.359, 0.745], [0.115, 0.861, 0.747], [0.122, 0.125, 0.148], [0.122, 0.622, 0.148], [0.124, 0.627, 0.635], [0.130, 0.136, 0.629], [0.168, 0.680, 0.398], [0.170, 0.184, 0.897], [0.171, 0.188, 0.396], [0.172, 0.691, 0.895], [0.182, 0.945, 0.374], [0.183, 0.443, 0.375], [0.184, 0.445, 0.879], [0.188, 0.949, 0.880], [0.217, 0.457, 0.528], [0.220, 0.966, 0.034], [0.221, 0.963, 0.529], [0.229, 0.478, 0.026], [0.352, 0.662, 0.246], [0.357, 0.170, 0.246], [0.364, 0.160, 0.746], [0.365, 0.650, 0.753], [0.371, 0.001, 0.140], [0.371, 0.502, 0.636], [0.373, 0.999, 0.638], [0.374, 0.490, 0.146], [0.414, 0.175, 0.896], [0.417, 0.187, 0.396], [0.420, 0.679, 0.897], [0.423, 0.679, 0.394], [0.430, 0.436, 0.882], [0.430, 0.445, 0.372], [0.431, 0.941, 0.881], [0.437, 0.952, 0.374], [0.466, 0.268, 0.527], [0.472, 0.769, 0.531], [0.474, 0.265, 0.029], [0.475, 0.760, 0.029], [0.608, 0.349, 0.245], [0.613, 0.859, 0.749], [0.614, 0.847, 0.244], [0.615, 0.360, 0.747], [0.621, 0.123, 0.148], [0.621, 0.625, 0.147], [0.622, 0.127, 0.636], [0.623, 0.625, 0.638], [0.664, 0.190, 0.896], [0.669, 0.186, 0.394], [0.673, 0.685, 0.896], [0.676, 0.689, 0.392], [0.681, 0.448, 0.373], [0.682, 0.443, 0.879], [0.682, 0.941, 0.881], [0.688, 0.950, 0.374], [0.718, 0.465, 0.529], [0.722, 0.471, 0.029], [0.722, 0.964, 0.530], [0.726, 0.974, 0.027], [0.852, 0.162, 0.249], [0.858, 0.669, 0.245], [0.864, 0.655, 0.745], [0.865, 0.154, 0.750], [0.872, 0.502, 0.138], [0.874, 0.004, 0.637], [0.874, 0.990, 0.146], [0.882, 0.499, 0.629], [0.919, 0.175, 0.392], [0.920, 0.181, 0.896], [0.922, 0.679, 0.896], [0.922, 0.680, 0.395], [0.930, 0.442, 0.881], [0.934, 0.945, 0.370], [0.935, 0.448, 0.376], [0.938, 0.938, 0.881], [0.969, 0.276, 0.529], [0.972, 0.262, 0.035], [0.974, 0.771, 0.525], [0.979, 0.767, 0.028]], "total_magnetization_mub_per_atom": 0.892, "total_energy_ev_per_atom": -6.352, "e_form_ev_per_atom": -2.2724}

=====

2.
{"formula": "Sr5Ca3FeCo7O20", "functional": "PBE+U", "state": "relaxed", "lattice": [[10.800, 0.000, 0.000], [-0.120, 11.209, 0.000], [-5.326, -5.576, 15.722]], "species": ["Sr", "Sr", "Sr", "Sr", "Sr", "Sr", "Sr", "Sr", "Sr", "Sr", "Sr", "Sr", "Sr", "Sr", "Sr", "Sr", "Sr", "Sr", "Sr", "Sr", "Ca", "Ca", "Ca", "Ca", "Ca", "Ca", "Ca", "Ca", "Ca", "Ca", "Ca", "Ca", "Fe", "Fe", "Fe", "Fe", "Co", "Co", "Co", "Co", "Co", "Co", "Co", "Co", "Co", "Co", "Co", "Co", "Co", "Co", "Co", "Co", "Co", "Co", "Co", "Co", "Co", "Co", "Co", "Co", "Co", "Co", "Co", "Co", "O", "O", "O", "O", "O", "O", "O", "O", "O", "O", "O", "O", "O", "O", "O", "O", "O", "O", "O", "O", "O", "O", "O", "O", "O", "O", "O", "O", "O", "O", "O", "O", "O", "O", "O", "O", "O", "O", "O", "O", "O", "O", "O", "O", "O", "O", "O", "O", "O", "O", "O", "O", "O", "O", "O", "O", "O", "O", "O", "O", "O", "O", "O", "O", "O", "O", "O", "O", "O", "O", "O", "O", "O", "O", "O", "O", "O", "O", "O", "O"], "frac_coords": [[0.000, 0.000, 0.000], [0.001, 0.493, 0.999], [0.107, 0.089, 0.718], [0.111, 0.591, 0.716], [0.116, 0.097, 0.227], [0.116, 0.595, 0.227], [0.249, 0.730, 0.001], [0.251, 0.236, 0.001], [0.362, 0.356, 0.719], [0.364, 0.858, 0.227], [0.498, 0.495, 0.999], [0.502, 0.000, 0.999], [0.605, 0.096, 0.719], [0.610, 0.599, 0.227], [0.613, 0.097, 0.227], [0.749, 0.235, 0.000], [0.753, 0.735, 0.998], [0.859, 0.858, 0.716], [0.863, 0.361, 0.227], [0.864, 0.861, 0.227], [0.247, 0.228, 0.502], [0.247, 0.726, 0.501], [0.355, 0.860, 0.714], [0.356, 0.364, 0.222], [0.491, 0.006, 0.500], [0.503, 0.501, 0.500], [0.610, 0.583, 0.713], [0.747, 0.232, 0.501], [0.748, 0.729, 0.502], [0.850, 0.361, 0.716], [0.992, 0.002, 0.501], [0.999, 0.503, 0.501], [0.156, 0.383, 0.854], [0.163, 0.884, 0.859], [0.414, 0.704, 0.855], [0.904, 0.698, 0.855], [0.055, 0.294, 0.607], [0.055, 0.791, 0.602], [0.058, 0.297, 0.114], [0.058, 0.795, 0.112], [0.165, 0.890, 0.366], [0.170, 0.392, 0.367], [0.300, 0.040, 0.601], [0.306, 0.048, 0.111], [0.306, 0.544, 0.111], [0.310, 0.544, 0.606], [0.412, 0.197, 0.858], [0.413, 0.208, 0.364], [0.416, 0.704, 0.369], [0.553, 0.291, 0.600], [0.554, 0.792, 0.106], [0.554, 0.792, 0.605], [0.558, 0.299, 0.117], [0.655, 0.885, 0.852], [0.662, 0.392, 0.364], [0.665, 0.892, 0.368], [0.666, 0.392, 0.860], [0.801, 0.043, 0.602], [0.808, 0.543, 0.605], [0.809, 0.547, 0.113], [0.811, 0.050, 0.118], [0.910, 0.203, 0.857], [0.914, 0.208, 0.367], [0.915, 0.705, 0.366], [0.007, 0.688, 0.468], [0.133, 0.886, 0.257], [0.137, 0.387, 0.744], [0.139, 0.889, 0.749], [0.140, 0.386, 0.258], [0.168, 0.910, 0.594], [0.173, 0.173, 0.611], [0.181, 0.419, 0.110], [0.183, 0.420, 0.592], [0.185, 0.182, 0.123], [0.185, 0.675, 0.120], [0.186, 0.925, 0.107], [0.192, 0.680, 0.619], [0.233, 0.230, 0.858], [0.236, 0.728, 0.859], [0.239, 0.493, 0.967], [0.239, 0.736, 0.372], [0.240, 0.235, 0.372], [0.244, 0.998, 0.971], [0.253, 0.009, 0.467], [0.260, 0.510, 0.470], [0.381, 0.085, 0.751], [0.383, 0.097, 0.256], [0.386, 0.593, 0.263], [0.393, 0.586, 0.747], [0.425, 0.902, 0.595], [0.429, 0.415, 0.110], [0.430, 0.174, 0.613], [0.431, 0.172, 0.122], [0.435, 0.673, 0.121], [0.436, 0.406, 0.595], [0.437, 0.666, 0.619], [0.438, 0.911, 0.106], [0.472, 0.863, 0.850], [0.480, 0.368, 0.363], [0.487, 0.355, 0.858], [0.488, 0.864, 0.372], [0.490, 0.205, 0.968], [0.497, 0.705, 0.968], [0.504, 0.193, 0.467], [0.506, 0.692, 0.473], [0.631, 0.890, 0.746], [0.636, 0.387, 0.255], [0.636, 0.890, 0.260], [0.644, 0.399, 0.754], [0.674, 0.925, 0.595], [0.677, 0.182, 0.616], [0.680, 0.413, 0.595], [0.680, 0.677, 0.616], [0.681, 0.684, 0.119], [0.682, 0.429, 0.108], [0.683, 0.178, 0.119], [0.686, 0.929, 0.107], [0.723, 0.723, 0.848], [0.734, 0.234, 0.858], [0.737, 0.989, 0.960], [0.738, 0.238, 0.371], [0.740, 0.737, 0.372], [0.743, 0.495, 0.971], [0.750, 0.508, 0.467], [0.751, 0.013, 0.470], [0.883, 0.602, 0.257], [0.884, 0.089, 0.752], [0.884, 0.103, 0.256], [0.887, 0.581, 0.747], [0.920, 0.907, 0.590], [0.923, 0.173, 0.619], [0.930, 0.670, 0.119], [0.931, 0.170, 0.117], [0.931, 0.412, 0.108], [0.933, 0.405, 0.594], [0.933, 0.916, 0.107], [0.940, 0.676, 0.611], [0.975, 0.360, 0.850], [0.984, 0.855, 0.857], [0.988, 0.699, 0.967], [0.988, 0.866, 0.372], [0.991, 0.207, 0.966], [0.993, 0.367, 0.372], [0.998, 0.191, 0.469]], "total_magnetization_mub_per_atom": 0.833, "total_energy_ev_per_atom": -6.173, "e_form_ev_per_atom": -2.1674}

=====

3.
{"formula": "CaCoGeO4", "functional": "PBE+U", "state": "relaxed", "lattice": [[11.393, 0.000, 0.000], [0.000, 6.471, 0.000], [0.000, 0.000, 5.059]], "species": ["Ca", "Ca", "Ca", "Ca", "Co", "Co", "Co", "Co", "Ge", "Ge", "Ge", "Ge", "O", "O", "O", "O", "O", "O", "O", "O", "O", "O", "O", "O", "O", "O", "O", "O"], "frac_coords": [[0.225, 0.250, 0.011], [0.275, 0.750, 0.511], [0.725, 0.250, 0.489], [0.775, 0.750, 0.989], [0.000, 0.000, 0.500], [0.000, 0.500, 0.500], [0.500, 0.000, 0.000], [0.500, 0.500, 0.000], [0.082, 0.750, 0.076], [0.418, 0.250, 0.576], [0.582, 0.750, 0.424], [0.918, 0.250, 0.924], [0.056, 0.250, 0.751], [0.081, 0.750, 0.726], [0.151, 0.533, 0.231], [0.151, 0.967, 0.231], [0.349, 0.033, 0.731], [0.349, 0.467, 0.731], [0.419, 0.250, 0.226], [0.444, 0.750, 0.251], [0.556, 0.250, 0.749], [0.581, 0.750, 0.774], [0.651, 0.533, 0.269], [0.651, 0.967, 0.269], [0.849, 0.033, 0.769], [0.849, 0.467, 0.769], [0.919, 0.250, 0.274], [0.944, 0.750, 0.249]], "total_magnetization_mub_per_atom": 0.429, "total_energy_ev_per_atom": -6.511, "e_form_ev_per_atom": -2.3475}